A plane-wave DFT calculation with PBE was carried out for La2Nb2N2O5 after structural relaxation.

Calculated values
* energy above the most stable polymorph in this dataset: 0.0 meV/atom
* magnetic moment: 0.000 μB/f.u.

Lattice parameters (Å, degrees): 5.702 8.066 13.760 81.57 89.51 89.85
Space group P1 (No. 1)
Symmetry-distinct sites (fractional):
La 0.000 0.000 0.000 [1 per cell]
La 0.002 0.497 0.029 [1 per cell]
La 0.409 0.587 0.696 [1 per cell]
La 0.472 0.057 0.740 [1 per cell]
La 0.481 0.946 0.218 [1 per cell]
La 0.494 0.444 0.246 [1 per cell]
La 0.924 0.862 0.558 [1 per cell]
La 0.989 0.378 0.511 [1 per cell]
Nb 0.001 0.707 0.226 [1 per cell]
Nb 0.470 0.133 0.450 [1 per cell]
Nb 0.492 0.234 0.008 [1 per cell]
Nb 0.497 0.657 0.441 [1 per cell]
Nb 0.504 0.755 0.005 [1 per cell]
Nb 0.960 0.796 0.798 [1 per cell]
Nb 0.965 0.322 0.799 [1 per cell]
Nb 0.982 0.187 0.243 [1 per cell]
N 0.059 0.542 0.823 [1 per cell]
N 0.190 0.851 0.696 [1 per cell]
N 0.203 0.759 0.114 [1 per cell]
N 0.552 0.896 0.430 [1 per cell]
N 0.568 0.997 0.038 [1 per cell]
N 0.700 0.809 0.712 [1 per cell]
N 0.810 0.746 0.949 [1 per cell]
N 0.929 0.949 0.238 [1 per cell]
O 0.072 0.446 0.215 [1 per cell]
O 0.166 0.313 0.683 [1 per cell]
O 0.173 0.104 0.511 [1 per cell]
O 0.211 0.631 0.531 [1 per cell]
O 0.216 0.192 0.107 [1 per cell]
O 0.292 0.220 0.898 [1 per cell]
O 0.296 0.693 0.313 [1 per cell]
O 0.301 0.846 0.900 [1 per cell]
O 0.308 0.158 0.303 [1 per cell]
O 0.392 0.388 0.428 [1 per cell]
O 0.431 0.497 0.023 [1 per cell]
O 0.671 0.345 0.738 [1 per cell]
O 0.673 0.136 0.561 [1 per cell]
O 0.699 0.587 0.554 [1 per cell]
O 0.705 0.676 0.150 [1 per cell]
O 0.719 0.259 0.148 [1 per cell]
O 0.767 0.599 0.353 [1 per cell]
O 0.784 0.224 0.354 [1 per cell]
O 0.808 0.288 0.947 [1 per cell]
O 0.901 0.051 0.825 [1 per cell]

A plane-wave DFT calculation with PBE was carried out for Na3Ge4Pt4 after structural relaxation.

Calculated values
* VASP energy: -4.752 eV per atom

Lattice parameters (Å, degrees): 7.724 7.724 7.724 90.00 90.00 90.00
Space group I-43m (No. 217)
Symmetry-distinct sites (fractional):
Na 0.000 0.000 0.500 [6 per cell]
Ge 0.184 0.184 0.816 [8 per cell]
Pt 0.139 0.139 0.139 [8 per cell]

A plane-wave DFT calculation with PBE was carried out for Ba2Sm3Si3SeO12 after structural relaxation.

Calculated values
* VASP energy: -7.596 eV per atom
* magnetic moment: 0.729 μB/f.u.

Lattice parameters (Å, degrees): 10.1004 10.1004 7.2053 90.00 90.00 120.00
Space group P6_3/m (No. 176)
Symmetry-distinct sites (fractional):
Ba 0.3333 0.6667 0.0018 [4 per cell]
Sm 0.0044 0.7379 0.7500 [6 per cell]
Si 0.0207 0.6391 0.2500 [6 per cell]
Se 0.0000 0.0000 0.0000 [2 per cell]
O 0.0809 0.5137 0.2500 [6 per cell]
O 0.0988 0.7532 0.0692 [12 per cell]
O 0.1657 0.4452 0.7500 [6 per cell]

A plane-wave DFT calculation with PBE was carried out for TiFeCoAs after structural relaxation.

Calculated values
* VASP energy: -7.404 eV per atom
* magnetic moment: 2.002 μB/f.u.

Lattice parameters (Å, degrees): 5.839 5.839 5.839 90.00 90.00 90.00
Space group F-43m (No. 216)
Symmetry-distinct sites (fractional):
Ti 0.000 0.000 0.000 [4 per cell]
Fe 0.250 0.250 0.250 [4 per cell]
Co 0.250 0.250 0.750 [4 per cell]
As 0.000 0.000 0.500 [4 per cell]